(1)
Computed, not measured: a relaxed Ba4Pr4Co8O23 crystal at the PBE+U level of DFT.

```
Ba4Pr4Co8O23
1.0
7.8797 0.0000 0.0000
0.0000 7.8797 0.0000
0.0000 0.0000 7.8242
Ba Pr Co O
4 4 8 23
direct
0.2478 0.2478 0.0000
0.2478 0.7522 0.0000
0.7522 0.2478 0.0000
0.7522 0.7522 0.0000
0.2373 0.2373 0.5000
0.2373 0.7627 0.5000
0.7627 0.2373 0.5000
0.7627 0.7627 0.5000
0.0000 0.0000 0.2520
0.0000 0.0000 0.7480
0.0000 0.5000 0.2547
0.0000 0.5000 0.7453
0.5000 0.0000 0.2547
0.5000 0.0000 0.7453
0.5000 0.5000 0.2599
0.5000 0.5000 0.7401
0.0000 0.0000 0.0000
0.0000 0.0000 0.5000
0.0000 0.2469 0.2726
0.0000 0.2469 0.7274
0.0000 0.5000 0.0000
0.0000 0.5000 0.5000
0.0000 0.7531 0.2726
0.0000 0.7531 0.7274
0.2469 0.0000 0.2726
0.2469 0.0000 0.7274
0.2684 0.5000 0.2925
0.2684 0.5000 0.7075
0.5000 0.0000 0.0000
0.5000 0.0000 0.5000
0.5000 0.2684 0.2925
0.5000 0.2684 0.7075
0.5000 0.5000 0.0000
0.5000 0.7316 0.2925
0.5000 0.7316 0.7075
0.7316 0.5000 0.2925
0.7316 0.5000 0.7075
0.7531 0.0000 0.2726
0.7531 0.0000 0.7274
```

## Properties
Total energy = -256.098 eV for the cell shown
Total magnetic moment = 20.69 μB per cell
Symmetry = P4/mmm, No. 123

(2)
Computed, not measured: a relaxed BaPrTaCoO6 crystal at the PBE+U level of DFT.

```
BaPrTaCoO6
1.0
5.7540 0.0000 0.0000
0.0000 5.8288 0.0000
-5.7294 0.0000 8.0742
Ba Pr Ta Co O
2 2 2 2 12
direct
0.0000 0.2389 0.0000
0.0000 0.7611 0.5000
0.5205 0.2994 0.5025
0.5205 0.7006 0.0025
0.2500 0.2419 0.7495
0.2500 0.7581 0.2495
0.7531 0.2464 0.2516
0.7531 0.7536 0.7516
0.1080 0.2411 0.5080
0.1080 0.7589 0.0080
0.4506 0.2779 0.9925
0.4506 0.7221 0.4925
0.4934 0.0318 0.2962
0.4934 0.9682 0.7962
0.5274 0.4851 0.7780
0.5274 0.5149 0.2780
0.9260 0.0471 0.7036
0.9260 0.9529 0.2036
0.9803 0.4978 0.7155
0.9803 0.5022 0.2155
```

## Properties
Total energy = -159.119 eV for the cell shown
Total magnetic moment = 2.00 μB per cell
Symmetry = Pc, No. 7

(3)
Computed, not measured: a relaxed Ba4CoRe2O12 crystal at the PBE+U level of DFT.

```
Ba4CoRe2O12
1.0
2.8967 1.6724 9.4077
-2.8967 1.6724 9.4077
0.0000 -3.3448 9.4077
Ba Co Re O
4 1 2 12
direct
0.1301 0.1301 0.1301
0.2920 0.2920 0.2920
0.7080 0.7080 0.7080
0.8699 0.8699 0.8699
0.0000 0.0000 0.0000
0.4191 0.4191 0.4191
0.5809 0.5809 0.5809
0.1419 0.6104 0.6104
0.2197 0.2197 0.6919
0.2197 0.6919 0.2197
0.3081 0.7803 0.7803
0.3896 0.3896 0.8581
0.3896 0.8581 0.3896
0.6104 0.1419 0.6104
0.6104 0.6104 0.1419
0.6919 0.2197 0.2197
0.7803 0.3081 0.7803
0.7803 0.7803 0.3081
0.8581 0.3896 0.3896
```

## Properties
Total energy = -139.130 eV for the cell shown
Symmetry = R-3m, No. 166

(4)
Computed, not measured: a relaxed Ba2CoRuO6 crystal at the PBE+U level of DFT.

```
Ba2CoRuO6
1.0
5.8153 0.0000 0.0000
-2.9076 5.0362 0.0000
0.0000 0.0000 14.1420
Ba Co Ru O
6 3 3 18
direct
0.0000 0.0000 0.0000
0.0000 0.0000 0.3154
0.3333 0.6667 0.4929
0.3333 0.6667 0.8213
0.6667 0.3333 0.1624
0.6667 0.3333 0.6576
0.3333 0.6667 0.2608
0.6667 0.3333 0.4049
0.6667 0.3333 0.9104
0.0000 0.0000 0.5685
0.0000 0.0000 0.7482
0.3333 0.6667 0.0680
0.0083 0.5041 0.3247
0.0124 0.5062 0.9916
0.1580 0.3160 0.6591
0.1580 0.8420 0.6591
0.1831 0.3662 0.1566
0.1831 0.8169 0.1566
0.3231 0.1615 0.8229
0.3257 0.1628 0.4946
0.4938 0.5062 0.9916
0.4938 0.9876 0.9916
0.4959 0.5041 0.3247
0.4959 0.9917 0.3247
0.6338 0.8169 0.1566
0.6840 0.8420 0.6591
0.8372 0.1628 0.4946
0.8372 0.6743 0.4946
0.8385 0.1615 0.8229
0.8385 0.6769 0.8229
```

## Properties
Total energy = -195.515 eV for the cell shown
Total magnetic moment = 15.63 μB per cell
Symmetry = P3m1, No. 156

(5)
Computed, not measured: a relaxed Ba3CoSb2O9 crystal at the PBE+U level of DFT.

```
Ba3CoSb2O9
1.0
15.5588 -2.9724 0.0000
15.5588 2.9724 0.0000
-3.3788 0.0000 9.7194
Ba Co Sb O
12 4 8 36
direct
0.0000 0.0000 0.0000
0.0811 0.0811 0.4138
0.1632 0.1632 0.1622
0.2501 0.2501 0.9166
0.3319 0.3319 0.6646
0.4134 0.4134 0.0798
0.4999 0.4999 0.4990
0.5817 0.5817 0.9145
0.6630 0.6630 0.6629
0.7503 0.7503 0.4158
0.8320 0.8320 0.1646
0.9133 0.9133 0.5787
0.2066 0.2066 0.5394
0.4567 0.4567 0.7894
0.7067 0.7067 0.0394
0.9566 0.9566 0.2893
0.0326 0.0326 0.6988
0.1307 0.1307 0.7968
0.2826 0.2826 0.2818
0.3806 0.3806 0.3799
0.5327 0.5327 0.1988
0.6307 0.6307 0.2970
0.7826 0.7826 0.7819
0.8807 0.8807 0.8800
0.0024 0.4951 0.1660
0.0538 0.6095 0.9052
0.0815 0.0815 0.8960
0.1094 0.5539 0.4051
0.1611 0.6684 0.8320
0.1646 0.1646 0.6664
0.1689 0.6604 0.3318
0.2449 0.7522 0.7468
0.2487 0.2487 0.4124
0.2529 0.7445 0.2470
0.3038 0.8594 0.6737
0.3318 0.3318 0.1827
0.3595 0.8039 0.1737
0.4107 0.9183 0.9127
0.4145 0.4145 0.5778
0.4183 0.9109 0.4127
0.4951 0.0024 0.1660
0.4988 0.4988 0.0010
0.5026 0.9949 0.6661
0.5539 0.1094 0.4051
0.5815 0.5815 0.3959
0.6095 0.0538 0.9052
0.6604 0.1689 0.3318
0.6647 0.6647 0.1662
0.6684 0.1611 0.8320
0.7445 0.2529 0.2470
0.7486 0.7486 0.9126
0.7522 0.2449 0.7468
0.8039 0.3595 0.1737
0.8318 0.8318 0.6829
0.8594 0.3038 0.6737
0.9109 0.4183 0.4127
0.9146 0.9146 0.0781
0.9183 0.4107 0.9127
0.9949 0.5026 0.6661
0.9987 0.9987 0.5007
```

## Properties
Total energy = -377.616 eV for the cell shown
Total magnetic moment = 12.00 μB per cell
Symmetry = Cm, No. 8

(6)
Computed, not measured: a relaxed Ba2CoSi2O7 crystal at the PBE+U level of DFT.

```
Ba2CoSi2O7
1.0
8.3192 0.0000 0.0000
0.0000 8.3192 0.0000
0.0000 0.0000 5.4856
Ba Co Si O
4 2 4 14
direct
0.1658 0.3342 0.4907
0.3342 0.8342 0.5093
0.6658 0.1658 0.5093
0.8342 0.6658 0.4907
0.0000 0.0000 0.0000
0.5000 0.5000 0.0000
0.1363 0.6363 0.9586
0.3637 0.1363 0.0414
0.6363 0.8637 0.0414
0.8637 0.3637 0.9586
0.0000 0.5000 0.8611
0.0781 0.8042 0.8232
0.1391 0.6391 0.2536
0.1958 0.0781 0.1768
0.3042 0.5781 0.8232
0.3609 0.1391 0.7464
0.4219 0.3042 0.1768
0.5000 0.0000 0.1389
0.5781 0.6958 0.1768
0.6391 0.8609 0.7464
0.6958 0.4219 0.8232
0.8042 0.9219 0.1768
0.8609 0.3609 0.2536
0.9219 0.1958 0.8232
```

## Properties
Total energy = -173.447 eV for the cell shown
Total magnetic moment = 0.00 μB per cell
Symmetry = P-42_1m, No. 113